Record 1
Crystalline Ga9Rh2 at its relaxed geometry. Source: Materials Project, functional GGA-PBE.

Calculated values
The calculation puts the energy of formation from the pure elements at -3.80 eV/f.u.

abc: 6.4615 6.5016 8.9172
angles: 86.93 90.00 90.00
With the nearest neighbours (Å) after each atom.
Positions (direct):
Ga (0.7613, 0.9670, 0.5309)  2 Rh 2.49, 1 Ga 2.70
Ga (0.2387, 0.9670, 0.0309)  2 Rh 2.49, 1 Ga 2.70
Ga (0.6345, 0.1986, 0.9564)  2 Rh 2.57-2.58, 1 Ga 2.76
Ga (0.3655, 0.1986, 0.4564)  2 Rh 2.57-2.58, 1 Ga 2.76
Ga (0.7607, 0.6009, 0.7677)  2 Rh 2.57-2.58, 4 Ga 2.80-2.84
Ga (0.2393, 0.6009, 0.2677)  2 Rh 2.57-2.58, 4 Ga 2.80-2.84
Ga (0.7401, 0.4002, 0.2260)  2 Rh 2.58-2.61, 4 Ga 2.70-2.88
Ga (0.2599, 0.4002, 0.7260)  2 Rh 2.58-2.61, 4 Ga 2.70-2.88
Ga (0.5527, 0.5981, 0.4918)  2 Rh 2.67-2.68, 7 Ga 2.79-2.99
Ga (0.4473, 0.5981, 0.9918)  2 Rh 2.67-2.68, 7 Ga 2.79-2.99
Ga (0.9455, 0.3866, 0.5020)  2 Rh 2.66-2.72, 6 Ga 2.79-2.98
Ga (0.0545, 0.3866, 0.0020)  2 Rh 2.66-2.72, 6 Ga 2.79-2.98
Ga (0.4523, 0.9093, 0.7328)  2 Rh 2.54-2.57, 3 Ga 2.70-2.83
Ga (0.5477, 0.9093, 0.2328)  2 Rh 2.54-2.57, 3 Ga 2.70-2.83
Ga (0.0279, 0.1062, 0.2835)  2 Rh 2.58-2.65, 4 Ga 2.70-2.82
Ga (0.9721, 0.1062, 0.7835)  2 Rh 2.58-2.65, 4 Ga 2.70-2.82
Ga (0.1567, 0.7819, 0.5392)  2 Rh 2.60-2.62, 4 Ga 2.73-2.86
Ga (0.8433, 0.7819, 0.0392)  2 Rh 2.60-2.62, 4 Ga 2.73-2.86
Rh (0.6233, 0.2608, 0.6687)  9 Ga 2.49-2.67
Rh (0.3767, 0.2608, 0.1687)  9 Ga 2.49-2.67
Rh (0.8792, 0.7404, 0.3316)  9 Ga 2.49-2.72
Rh (0.1208, 0.7404, 0.8316)  9 Ga 2.49-2.72

***

Record 2
Crystalline K2CoCl4 at its relaxed geometry. Source: Materials Project, functional GGA-PBE.

Calculated values
The calculation puts the energy of formation from the pure elements at -12.28 eV/f.u.

abc: 9.7075 6.8827 12.8628
angles: 72.99 90.00 90.00
With the nearest neighbours (Å) after each atom.
Positions (direct):
K (0.3548, 0.7764, 0.9930)  6 Cl 3.13-3.35
K (0.6452, 0.2236, 0.0070)  6 Cl 3.13-3.35
K (0.4044, 0.4040, 0.3349)  7 Cl 3.19-3.45
K (0.9044, 0.5960, 0.1651)  7 Cl 3.19-3.45
K (0.8548, 0.2236, 0.5070)  6 Cl 3.13-3.35
K (0.0956, 0.4040, 0.8349)  7 Cl 3.19-3.45
K (0.5956, 0.5960, 0.6651)  7 Cl 3.19-3.45
K (0.1452, 0.7764, 0.4930)  6 Cl 3.13-3.35
Co (0.1466, 0.1179, 0.1801)  4 Cl 2.25-2.28
Co (0.8534, 0.8821, 0.8199)  4 Cl 2.25-2.28
Co (0.3534, 0.1179, 0.6801)  4 Cl 2.25-2.28
Co (0.6466, 0.8821, 0.3199)  4 Cl 2.25-2.28
Cl (0.0367, 0.7938, 0.9311)  1 Co 2.25
Cl (0.9633, 0.2062, 0.0689)  1 Co 2.25
Cl (0.1012, 0.2122, 0.3322)  1 Co 2.28
Cl (0.3125, 0.7807, 0.7202)  1 Co 2.26
Cl (0.1875, 0.7807, 0.2202)  1 Co 2.26
Cl (0.8349, 0.7008, 0.3986)  1 Co 2.28
Cl (0.3349, 0.2992, 0.1014)  1 Co 2.28
Cl (0.8125, 0.2193, 0.7798)  1 Co 2.26
Cl (0.8988, 0.7878, 0.6678)  1 Co 2.28
Cl (0.1651, 0.2992, 0.6014)  1 Co 2.28
Cl (0.6651, 0.7008, 0.8986)  1 Co 2.28
Cl (0.6875, 0.2193, 0.2798)  1 Co 2.26
Cl (0.3988, 0.2122, 0.8322)  1 Co 2.28
Cl (0.5367, 0.2062, 0.5689)  1 Co 2.25
Cl (0.6012, 0.7878, 0.1678)  1 Co 2.28
Cl (0.4633, 0.7938, 0.4311)  1 Co 2.25

***

Record 3
Crystalline Sn7Ru3 at its relaxed geometry. Source: Materials Project, functional GGA-PBE.

Calculated values
The calculation puts the energy of formation from the pure elements at -2.10 eV/f.u.

abc: 8.2084 8.2084 8.2084
angles: 109.47 109.47 109.47
With the nearest neighbours (Å) after each atom.
Positions (direct):
Sn (0.2500, 0.7500, 0.5000)  4 Ru 2.79
Sn (0.7500, 0.2500, 0.5000)  4 Ru 2.79
Sn (0.7500, 0.5000, 0.2500)  4 Ru 2.79
Sn (0.2500, 0.5000, 0.7500)  4 Ru 2.79
Sn (0.5000, 0.7500, 0.2500)  4 Ru 2.79
Sn (0.5000, 0.2500, 0.7500)  4 Ru 2.79
Sn (0.0000, 0.0000, 0.3222)  3 Ru 2.78, 4 Sn 2.92-3.05
Sn (0.6778, 0.0000, 0.0000)  3 Ru 2.78, 4 Sn 2.92-3.05
Sn (0.0000, 0.6778, 0.0000)  3 Ru 2.78, 4 Sn 2.92-3.05
Sn (0.3222, 0.3222, 0.3222)  3 Ru 2.78, 4 Sn 2.92-3.05
Sn (0.0000, 0.3222, 0.0000)  3 Ru 2.78, 4 Sn 2.92-3.05
Sn (0.6778, 0.6778, 0.6778)  3 Ru 2.78, 4 Sn 2.92-3.05
Sn (0.3222, 0.0000, 0.0000)  3 Ru 2.78, 4 Sn 2.92-3.05
Sn (0.0000, 0.0000, 0.6778)  3 Ru 2.78, 4 Sn 2.92-3.05
Ru (0.3451, 0.0000, 0.3451)  8 Sn 2.78-2.79, 1 Ru 2.94
Ru (0.0000, 0.3451, 0.3451)  8 Sn 2.78-2.79, 1 Ru 2.94
Ru (0.0000, 0.6549, 0.6549)  8 Sn 2.78-2.79, 1 Ru 2.94
Ru (0.3451, 0.3451, 0.0000)  8 Sn 2.78-2.79, 1 Ru 2.94
Ru (0.6549, 0.6549, 0.0000)  8 Sn 2.78-2.79, 1 Ru 2.94
Ru (0.6549, 0.0000, 0.6549)  8 Sn 2.78-2.79, 1 Ru 2.94